This record from the Materials Project database describes a geometry-optimized CoH8I2O10 structure. The functional is PBE+U.

Structure (POSCAR):
```
CoH8I2O10
1.0
8.4601 0.0000 0.0000
0.0000 6.6054 0.0000
-1.4046 0.0000 8.4124
Co H I O
2 16 4 20
direct
0.0000 0.0000 0.0000
0.0000 0.5000 0.5000
0.0095 0.1193 0.3087
0.0095 0.3807 0.8087
0.1559 0.5044 0.2610
0.1559 0.9956 0.7610
0.2675 0.6096 0.7238
0.2675 0.8904 0.2238
0.2766 0.7173 0.5562
0.2766 0.7827 0.0562
0.7234 0.2173 0.9438
0.7234 0.2827 0.4438
0.7325 0.1096 0.7762
0.7325 0.3904 0.2762
0.8441 0.0044 0.2390
0.8441 0.4956 0.7390
0.9905 0.6193 0.1913
0.9905 0.8807 0.6913
0.3328 0.1783 0.5302
0.3328 0.3217 0.0302
0.6672 0.6783 0.9698
0.6672 0.8217 0.4698
0.0643 0.5811 0.2906
0.0643 0.9189 0.7906
0.1146 0.2172 0.4750
0.1146 0.2828 0.9750
0.2419 0.5925 0.6068
0.2419 0.9075 0.1068
0.3383 0.5776 0.9436
0.3383 0.9224 0.4436
0.3394 0.1145 0.7398
0.3394 0.3855 0.2398
0.6606 0.6145 0.7602
0.6606 0.8855 0.2602
0.6617 0.0776 0.5564
0.6617 0.4224 0.0564
0.7581 0.0925 0.8932
0.7581 0.4075 0.3932
0.8854 0.7172 0.0250
0.8854 0.7828 0.5250
0.9357 0.0811 0.2094
0.9357 0.4189 0.7094
```

Output
The calculation puts the formation energy at -1097.3 meV per atom. Its mass density is 3.4 g/cm3. The symmetry is P2_1/c, No. 14. For the energy, the calculation gives -202.626 eV for the cell shown.